# 1
SmCrSb3 | PBE | relaxed

a b c (Å): 13.0377 6.2315 6.0867
angles (deg): 90.00 90.00 90.00
Sites, in units of the cell vectors:
Sm 0.1916 0.0046 0.2500
Sm 0.1916 0.4954 0.7500
Sm 0.8084 0.5046 0.2500
Sm 0.8084 0.9954 0.7500
Cr 0.4060 0.7500 0.0000
Cr 0.4060 0.7500 0.5000
Cr 0.5940 0.2500 0.0000
Cr 0.5940 0.2500 0.5000
Sb 0.0015 0.7500 0.0000
Sb 0.0015 0.7500 0.5000
Sb 0.2792 0.0019 0.7500
Sb 0.2792 0.4981 0.2500
Sb 0.4371 0.1013 0.2500
Sb 0.4371 0.3987 0.7500
Sb 0.5629 0.6013 0.2500
Sb 0.5629 0.8987 0.7500
Sb 0.7208 0.5019 0.7500
Sb 0.7208 0.9981 0.2500
Sb 0.9985 0.2500 0.0000
Sb 0.9985 0.2500 0.5000

## Properties
V (Å³/atom): 24.7
ΔH_f (0 K) (eV/f.u.): -2.804
Total DFT energy (no corrections) (eV for the cell shown): -115.94

---

# 2
Cs3Bi2Br9 | PBE | relaxed

a b c (Å): 8.2160 8.2160 10.0698
angles (deg): 90.00 90.00 120.00
Sites, in units of the cell vectors:
Cs 0.0000 0.0000 0.0000
Cs 0.3333 0.6667 0.3342
Cs 0.6667 0.3333 0.6658
Bi 0.3333 0.6667 0.8135
Bi 0.6667 0.3333 0.1865
Br 0.0000 0.5000 0.0000
Br 0.1707 0.3413 0.6644
Br 0.1707 0.8293 0.6644
Br 0.3413 0.1707 0.3356
Br 0.5000 0.0000 0.0000
Br 0.5000 0.5000 0.0000
Br 0.6587 0.8293 0.6644
Br 0.8293 0.1707 0.3356
Br 0.8293 0.6587 0.3356

## Properties
V (Å³/atom): 42.0
ΔH_f (0 K) (eV/f.u.): -22.493
Total DFT energy (no corrections) (eV for the cell shown): -42.89

---

# 3
Cs2BaBr4 | PBE | relaxed

a b c (Å): 9.0954 9.0954 9.0954
angles (deg): 110.53 110.53 107.37
Sites, in units of the cell vectors:
Cs 0.3750 0.0128 0.1378
Cs 0.7628 0.6250 0.6378
Cs 0.8750 0.2372 0.8622
Cs 0.9872 0.1250 0.3622
Ba 0.2500 0.7500 0.5000
Ba 0.5000 0.5000 0.0000
Br 0.1485 0.0291 0.7466
Br 0.1519 0.5325 0.7534
Br 0.2825 0.4019 0.2534
Br 0.4675 0.2209 0.6193
Br 0.5981 0.8515 0.8807
Br 0.6015 0.8481 0.3807
Br 0.7791 0.3985 0.2466
Br 0.9709 0.7175 0.1193

## Properties
V (Å³/atom): 41.3
ΔH_f (0 K) (eV/f.u.): -15.787
Total DFT energy (no corrections) (eV for the cell shown): -47.82

---

# 4
MgV2S4 | PBE | relaxed

a b c (Å): 3.5641 3.5641 11.9815
angles (deg): 90.00 90.00 120.00
Sites, in units of the cell vectors:
Mg 0.0000 0.0000 0.0000
V 0.0000 0.0000 0.2638
V 0.0000 0.0000 0.7362
S 0.3333 0.6667 0.3561
S 0.3333 0.6667 0.8697
S 0.6667 0.3333 0.1303
S 0.6667 0.3333 0.6439

## Properties
V (Å³/atom): 18.8
Energy relative to the lowest polymorph listed for this composition (meV per atom): 45
ΔH_f (0 K) (eV/f.u.): -8.597
Total DFT energy (no corrections) (eV for the cell shown): -42.90

---

# 5
K3DyCl6 | PBE | relaxed

a b c (Å): 13.2368 7.8018 12.7506
angles (deg): 90.00 108.78 90.00
Sites, in units of the cell vectors:
K 0.0978 0.0331 0.3582
K 0.0978 0.4669 0.8582
K 0.3146 0.5654 0.2666
K 0.3146 0.9346 0.7666
K 0.3206 0.0652 0.1123
K 0.3206 0.4348 0.6123
K 0.6794 0.5652 0.3877
K 0.6794 0.9348 0.8877
K 0.6854 0.0654 0.2334
K 0.6854 0.4346 0.7334
K 0.9022 0.5331 0.1418
K 0.9022 0.9669 0.6418
Dy 0.0000 0.0000 0.0000
Dy 0.0000 0.5000 0.5000
Dy 0.5000 0.0000 0.5000
Dy 0.5000 0.5000 0.0000
Cl 0.1013 0.2161 0.5942
Cl 0.1013 0.2839 0.0942
Cl 0.1192 0.5015 0.3702
Cl 0.1192 0.9985 0.8702
Cl 0.1389 0.6795 0.6543
Cl 0.1389 0.8205 0.1543
Cl 0.3456 0.7092 0.0049
Cl 0.3456 0.7908 0.5049
Cl 0.3476 0.2153 0.3934
Cl 0.3476 0.2847 0.8934
Cl 0.4994 0.1422 0.6907
Cl 0.4994 0.3578 0.1907
Cl 0.5006 0.6422 0.8093
Cl 0.5006 0.8578 0.3093
Cl 0.6524 0.7153 0.1066
Cl 0.6524 0.7847 0.6066
Cl 0.6544 0.2092 0.4951
Cl 0.6544 0.2908 0.9951
Cl 0.8611 0.1795 0.8457
Cl 0.8611 0.3205 0.3457
Cl 0.8808 0.0015 0.1298
Cl 0.8808 0.4985 0.6298
Cl 0.8987 0.7161 0.9058
Cl 0.8987 0.7839 0.4058

## Properties
V (Å³/atom): 31.2
ΔH_f (0 K) (eV/f.u.): -24.908
Total DFT energy (no corrections) (eV for the cell shown): -161.01

---

# 6
Hg3Se2Br2 | PBE | relaxed

a b c (Å): 10.3724 10.3724 10.0744
angles (deg): 90.53 90.53 55.57
Sites, in units of the cell vectors:
Hg 0.0000 0.5000 0.0000
Hg 0.1033 0.6504 0.2980
Hg 0.2307 0.2307 0.2873
Hg 0.2359 0.7641 0.0000
Hg 0.3496 0.8967 0.7020
Hg 0.4756 0.4756 0.7291
Hg 0.5000 0.0000 0.0000
Hg 0.5244 0.5244 0.2709
Hg 0.6504 0.1033 0.2980
Hg 0.7641 0.2359 0.0000
Hg 0.7693 0.7693 0.7127
Hg 0.8967 0.3496 0.7020
Se 0.0238 0.5004 0.7469
Se 0.2217 0.7477 0.7469
Se 0.2523 0.7783 0.2531
Se 0.5004 0.0238 0.7469
Se 0.4996 0.9762 0.2531
Se 0.7477 0.2217 0.7469
Se 0.7783 0.2523 0.2531
Se 0.9762 0.4996 0.2531
Br 0.1222 0.1222 0.5087
Br 0.1255 0.1255 0.9760
Br 0.3759 0.3759 0.0104
Br 0.3783 0.3783 0.4731
Br 0.6217 0.6217 0.5269
Br 0.6241 0.6241 0.9896
Br 0.8745 0.8745 0.0240
Br 0.8778 0.8778 0.4913

## Properties
V (Å³/atom): 31.9
ΔH_f (0 K) (eV/f.u.): -3.594
Total DFT energy (no corrections) (eV for the cell shown): -54.81

---

# 7
HgBrN | PBE | relaxed

a b c (Å): 4.3876 4.3876 4.2281
angles (deg): 90.00 90.00 90.00
Sites, in units of the cell vectors:
Hg 0.0000 0.0000 0.0000
Br 0.5000 0.5000 0.0000
N 0.0000 0.0000 0.5000

## Properties
V (Å³/atom): 27.1
Energy relative to the lowest polymorph listed for this composition (meV per atom): 155
ΔH_f (0 K) (eV/f.u.): 3.086
Total DFT energy (no corrections) (eV for the cell shown): -6.83

---

# 8
Al4B2O9 | PBE | relaxed

a b c (Å): 7.5774 8.4679 10.6626
angles (deg): 90.12 98.32 109.48
Sites, in units of the cell vectors:
Al 0.0000 0.0000 0.0000
Al 0.0000 0.0000 0.5000
Al 0.1108 0.6926 0.4014
Al 0.1820 0.7865 0.1130
Al 0.2692 0.2914 0.0581
Al 0.2813 0.1387 0.3212
Al 0.3276 0.5406 0.2778
Al 0.3422 0.6256 0.6242
Al 0.5000 0.0000 0.0000
Al 0.5000 0.0000 0.5000
Al 0.6578 0.3744 0.3758
Al 0.6724 0.4594 0.7222
Al 0.7187 0.8613 0.6788
Al 0.7308 0.7086 0.9419
Al 0.8180 0.2135 0.8870
Al 0.8892 0.3074 0.5986
B 0.0149 0.7318 0.6518
B 0.2158 0.7270 0.8425
B 0.2483 0.2585 0.6665
B 0.4527 0.1994 0.8476
B 0.5473 0.8006 0.1524
B 0.7517 0.7415 0.3335
B 0.7842 0.2730 0.1575
B 0.9851 0.2682 0.3482
O 0.0353 0.7167 0.7810
O 0.0471 0.2043 0.9459
O 0.0947 0.1768 0.3969
O 0.1016 0.6626 0.5763
O 0.1501 0.6580 0.2395
O 0.1695 0.3791 0.6354
O 0.1835 0.0966 0.6312
O 0.1917 0.0905 0.1457
O 0.2065 0.9267 0.4195
O 0.2646 0.8328 0.9555
O 0.2939 0.4906 0.1060
O 0.3070 0.6070 0.4411
O 0.3345 0.6657 0.7991
O 0.3872 0.1863 0.9616
O 0.4080 0.3695 0.3254
O 0.4277 0.3054 0.7517
O 0.4462 0.9095 0.1630
O 0.4818 0.8624 0.6181
O 0.5182 0.1376 0.3819
O 0.5538 0.0905 0.8370
O 0.5723 0.6946 0.2483
O 0.5920 0.6305 0.6746
O 0.6128 0.8137 0.0384
O 0.6655 0.3343 0.2009
O 0.6930 0.3930 0.5589
O 0.7061 0.5094 0.8940
O 0.7354 0.1672 0.0445
O 0.7935 0.0733 0.5805
O 0.8083 0.9095 0.8543
O 0.8165 0.9034 0.3688
O 0.8305 0.6209 0.3646
O 0.8499 0.3420 0.7605
O 0.8984 0.3374 0.4237
O 0.9053 0.8232 0.6031
O 0.9529 0.7957 0.0541
O 0.9647 0.2833 0.2190

## Properties
V (Å³/atom): 10.6
Energy relative to the lowest polymorph listed for this composition (meV per atom): 262
ΔH_f (0 K) (eV/f.u.): -45.030
Total DFT energy (no corrections) (eV for the cell shown): -446.88

---

# 9
Mg6TiCdO8 | PBE | relaxed

a b c (Å): 4.3750 4.3750 8.8505
angles (deg): 90.00 90.00 90.00
Sites, in units of the cell vectors:
Mg 0.0000 0.0000 0.0000
Mg 0.0000 0.0000 0.5000
Mg 0.0000 0.5000 0.2491
Mg 0.0000 0.5000 0.7509
Mg 0.5000 0.0000 0.2491
Mg 0.5000 0.0000 0.7509
Ti 0.5000 0.5000 0.0000
Cd 0.5000 0.5000 0.5000
O 0.0000 0.0000 0.2492
O 0.0000 0.0000 0.7508
O 0.0000 0.5000 0.0000
O 0.0000 0.5000 0.5000
O 0.5000 0.0000 0.0000
O 0.5000 0.0000 0.5000
O 0.5000 0.5000 0.2351
O 0.5000 0.5000 0.7649

## Properties
V (Å³/atom): 10.6
ΔH_f (0 K) (eV/f.u.): -42.640
Total DFT energy (no corrections) (eV for the cell shown): -95.15

---

# 10
BaMgIn3 | PBE | relaxed

a b c (Å): 7.2385 7.2385 7.2385
angles (deg): 140.45 140.45 57.17
Sites, in units of the cell vectors:
Ba 0.0000 0.0000 0.0000
Mg 0.7500 0.2500 0.5000
In 0.2500 0.7500 0.5000
In 0.3855 0.3855 0.0000
In 0.6145 0.6145 0.0000

## Properties
V (Å³/atom): 30.5
ΔH_f (0 K) (eV/f.u.): -1.752
Total DFT energy (no corrections) (eV for the cell shown): -13.53

---

# 11
KLi4AlO4 | PBE | relaxed

a b c (Å): 5.6014 15.5988 11.1480
angles (deg): 90.00 109.62 90.00
Sites, in units of the cell vectors:
K 0.0490 0.0719 0.1663
K 0.0490 0.4281 0.6663
K 0.4060 0.7029 0.2717
K 0.4060 0.7971 0.7717
K 0.5940 0.2029 0.2283
K 0.5940 0.2971 0.7283
K 0.9510 0.5719 0.3337
K 0.9510 0.9281 0.8337
Li 0.0606 0.5775 0.0425
Li 0.0606 0.9225 0.5425
Li 0.0880 0.6228 0.7703
Li 0.0880 0.8772 0.2703
Li 0.1086 0.7386 0.4764
Li 0.1086 0.7614 0.9764
Li 0.2152 0.1615 0.6278
Li 0.2152 0.3385 0.1278
Li 0.3108 0.5199 0.9231
Li 0.3108 0.9801 0.4231
Li 0.3305 0.6204 0.6280
Li 0.3305 0.8796 0.1280
Li 0.3601 0.0671 0.9777
Li 0.3601 0.4329 0.4777
Li 0.4701 0.1533 0.4923
Li 0.4701 0.3467 0.9923
Li 0.5299 0.6533 0.0077
Li 0.5299 0.8467 0.5077
Li 0.6399 0.5671 0.5223
Li 0.6399 0.9329 0.0223
Li 0.6695 0.1204 0.8720
Li 0.6695 0.3796 0.3720
Li 0.6892 0.0199 0.5769
Li 0.6892 0.4801 0.0769
Li 0.7848 0.6615 0.8722
Li 0.7848 0.8385 0.3722
Li 0.8914 0.2386 0.0236
Li 0.8914 0.2614 0.5236
Li 0.9120 0.1228 0.7297
Li 0.9120 0.3772 0.2297
Li 0.9394 0.0775 0.4575
Li 0.9394 0.4225 0.9575
Al 0.1883 0.2265 0.8811
Al 0.1883 0.2735 0.3811
Al 0.3835 0.0163 0.7031
Al 0.3835 0.4837 0.2031
Al 0.6165 0.5163 0.7969
Al 0.6165 0.9837 0.2969
Al 0.8117 0.7265 0.6189
Al 0.8117 0.7735 0.1189
O 0.0371 0.1344 0.9224
O 0.0371 0.3656 0.4224
O 0.0496 0.0361 0.6399
O 0.0496 0.4639 0.1399
O 0.0652 0.2370 0.7112
O 0.0652 0.2630 0.2112
O 0.0981 0.1822 0.4510
O 0.0981 0.3178 0.9510
O 0.4407 0.5637 0.1020
O 0.4407 0.9363 0.6020
O 0.4506 0.6091 0.8250
O 0.4506 0.8909 0.3250
O 0.4738 0.7151 0.5508
O 0.4738 0.7849 0.0508
O 0.4997 0.0030 0.1321
O 0.4997 0.4970 0.6321
O 0.5003 0.5030 0.3679
O 0.5003 0.9970 0.8679
O 0.5262 0.2151 0.9492
O 0.5262 0.2849 0.4492
O 0.5494 0.1091 0.6750
O 0.5494 0.3909 0.1750
O 0.5593 0.0637 0.3980
O 0.5593 0.4363 0.8980
O 0.9019 0.6822 0.0490
O 0.9019 0.8178 0.5490
O 0.9348 0.7370 0.7888
O 0.9348 0.7630 0.2888
O 0.9504 0.5361 0.8601
O 0.9504 0.9639 0.3601
O 0.9629 0.6344 0.5776
O 0.9629 0.8656 0.0776

## Properties
V (Å³/atom): 11.5
ΔH_f (0 K) (eV/f.u.): -24.125
Total DFT energy (no corrections) (eV for the cell shown): -429.28

---

# 12
VPb4N4 | PBE | relaxed

a b c (Å): 6.5139 7.5534 8.6994
angles (deg): 72.66 86.86 73.03
Sites, in units of the cell vectors:
V 0.2210 0.2465 0.2573
V 0.7790 0.7535 0.7427
Pb 0.1605 0.3854 0.8641
Pb 0.2235 0.5970 0.4146
Pb 0.2722 0.0016 0.6073
Pb 0.3104 0.7316 0.0040
Pb 0.6896 0.2684 0.9960
Pb 0.7278 0.9984 0.3927
Pb 0.7765 0.4030 0.5854
Pb 0.8395 0.6146 0.1359
N 0.0071 0.7004 0.8876
N 0.0994 0.3294 0.4305
N 0.3720 0.9977 0.3429
N 0.3961 0.3923 0.1552
N 0.6039 0.6077 0.8448
N 0.6280 0.0023 0.6571
N 0.9006 0.6706 0.5695
N 0.9929 0.2996 0.1124

## Properties
V (Å³/atom): 21.7
ΔH_f (0 K) (eV/f.u.): 0.080
Total DFT energy (no corrections) (eV for the cell shown): -111.51

---

# 13
Ca2InOsO6 | PBE | relaxed

a b c (Å): 5.5434 5.7576 9.6488
angles (deg): 90.00 124.49 90.00
Sites, in units of the cell vectors:
Ca 0.2318 0.0584 0.2488
Ca 0.2318 0.4416 0.7488
Ca 0.7682 0.5584 0.2512
Ca 0.7682 0.9416 0.7512
In 0.5000 0.0000 0.0000
In 0.5000 0.5000 0.5000
Os 0.0000 0.0000 0.5000
Os 0.0000 0.5000 0.0000
O 0.1230 0.2121 0.9409
O 0.1230 0.2879 0.4409
O 0.2330 0.6898 0.9429
O 0.2330 0.8102 0.4429
O 0.3469 0.0403 0.7365
O 0.3469 0.4597 0.2365
O 0.6531 0.5403 0.7635
O 0.6531 0.9597 0.2635
O 0.7670 0.1898 0.5571
O 0.7670 0.3102 0.0571
O 0.8770 0.7121 0.5591
O 0.8770 0.7879 0.0591

## Properties
V (Å³/atom): 12.7
ΔH_f (0 K) (eV/f.u.): -23.871
Total DFT energy (no corrections) (eV for the cell shown): -134.85

---

# 14
BTe2As | PBE | relaxed

a b c (Å): 4.9221 4.9221 4.9221
angles (deg): 60.00 60.00 60.00
Sites, in units of the cell vectors:
B 0.0000 0.0000 0.0000
Te 0.2500 0.2500 0.2500
Te 0.7500 0.7500 0.7500
As 0.5000 0.5000 0.5000

## Properties
V (Å³/atom): 21.1
ΔH_f (0 K) (eV/f.u.): 4.581
Total DFT energy (no corrections) (eV for the cell shown): -13.04